DFT (GGA+U) results for crystalline FeOF at its relaxed geometry.

As for the density: 4.3 g/cm³. The calculation puts the total energy after the MP2020 corrections at -129.54 eV per cell. As for the volume: 11.6 A^3/atom. The total magnetization is 10.00 μB/cell. Its formation energy is -604 kJ/mol of formula units. The symmetry is P2_1, No. 4.

Cell lengths 4.7632, 4.7662, 9.2310 Å; angles 90.00, 90.05, 90.00 degrees
Element x y z (fractional)
Fe 0.2026 0.0000 0.0842
Fe 0.2210 0.0200 0.7493
Fe 0.2872 0.9557 0.4166
Fe 0.7128 0.4557 0.5834
Fe 0.7790 0.5200 0.2507
Fe 0.7974 0.5000 0.9158
O 0.0552 0.8163 0.9134
O 0.0682 0.8052 0.2539
O 0.4294 0.1670 0.5827
O 0.5706 0.6670 0.4173
O 0.9318 0.3052 0.7461
O 0.9448 0.3163 0.0866
F 0.0499 0.7829 0.5830
F 0.4428 0.2050 0.9186
F 0.4568 0.1885 0.2487
F 0.5432 0.6885 0.7513
F 0.5572 0.7050 0.0814
F 0.9501 0.2829 0.4170

***

DFT (GGA+U) results for crystalline Ba3SrCoCu3O12 at its relaxed geometry.

As for the density: 6.2 g/cm³. The calculation puts the total energy after the MP2020 corrections at -120.87 eV per cell. As for the volume: 12.7 A^3/atom. The total magnetization is 5.66 μB/cell. Its formation energy is -3342 kJ/mol of formula units. The symmetry is Amm2, No. 38.

Cell lengths 3.9844, 7.9711, 7.9711 Å; angles 90.16, 90.00, 90.00 degrees
Element x y z (fractional)
Ba 0.0000 0.0000 0.0000
Ba 0.0000 0.0003 0.5023
Ba 0.0000 0.5023 0.0003
Sr 0.0000 0.5048 0.5048
Co 0.5000 0.2544 0.2544
Cu 0.5000 0.2524 0.7520
Cu 0.5000 0.7513 0.7513
Cu 0.5000 0.7520 0.2524
O 0.0000 0.2562 0.2562
O 0.0000 0.2596 0.7438
O 0.0000 0.7438 0.2596
O 0.0000 0.7439 0.7439
O 0.5000 0.0033 0.7490
O 0.5000 0.0113 0.2535
O 0.5000 0.2535 0.0113
O 0.5000 0.2606 0.4947
O 0.5000 0.4947 0.2606
O 0.5000 0.5002 0.7399
O 0.5000 0.7399 0.5002
O 0.5000 0.7490 0.0033

***

DFT (GGA+U) results for crystalline SrMnPF at its relaxed geometry.

As for the density: 4.0 g/cm³. The calculation puts the total energy after the MP2020 corrections at -51.68 eV per cell. As for the volume: 19.9 A^3/atom. The total magnetization is 9.95 μB/cell. Its formation energy is -739 kJ/mol of formula units. The symmetry is P4/nmm, No. 129.

Cell lengths 4.1774, 4.1774, 9.1224 Å; angles 90.00, 90.00, 90.00 degrees
Element x y z (fractional)
Sr 0.2500 0.2500 0.1525
Sr 0.7500 0.7500 0.8475
Mn 0.2500 0.7500 0.5000
Mn 0.7500 0.2500 0.5000
P 0.2500 0.2500 0.6654
P 0.7500 0.7500 0.3346
F 0.2500 0.7500 0.0000
F 0.7500 0.2500 0.0000

***

DFT (GGA+U) results for crystalline Li3Si6NiO15 at its relaxed geometry.

As for the density: 2.7 g/cm³. The calculation puts the total energy after the MP2020 corrections at -754.66 eV per cell. As for the volume: 11.9 A^3/atom. The total magnetization is 12.01 μB/cell. Its formation energy is -6791 kJ/mol of formula units. The symmetry is Cmce, No. 64.

Cell lengths 10.9802, 10.9802, 10.0093 Å; angles 90.00, 90.00, 100.15 degrees
Element x y z (fractional)
Li 0.0181 0.4819 0.7500
Li 0.0664 0.9336 0.7850
Li 0.2345 0.2345 0.0000
Li 0.2655 0.2655 0.5000
Li 0.4336 0.5664 0.2850
Li 0.4819 0.0181 0.2500
Li 0.5181 0.9819 0.7500
Li 0.5664 0.4336 0.7150
Li 0.7345 0.7345 0.5000
Li 0.7655 0.7655 0.0000
Li 0.9336 0.0664 0.2150
Li 0.9819 0.5181 0.2500
Si 0.0187 0.7612 0.4927
Si 0.0442 0.1866 0.8024
Si 0.0762 0.7030 0.9550
Si 0.1866 0.0442 0.1976
Si 0.2030 0.5762 0.4550
Si 0.2388 0.9813 0.4927
Si 0.2612 0.5187 0.9927
Si 0.2970 0.9238 0.9550
Si 0.3134 0.4558 0.6976
Si 0.4238 0.7970 0.4550
Si 0.4558 0.3134 0.3024
Si 0.4813 0.7388 0.9927
Si 0.5187 0.2612 0.0073
Si 0.5442 0.6866 0.6976
Si 0.5762 0.2030 0.5450
Si 0.6866 0.5442 0.3024
Si 0.7030 0.0762 0.0450
Si 0.7388 0.4813 0.0073
Si 0.7612 0.0187 0.5073
Si 0.7970 0.4238 0.5450
Si 0.8134 0.9558 0.8024
Si 0.9238 0.2970 0.0450
Si 0.9558 0.8134 0.1976
Si 0.9813 0.2388 0.5073
Ni 0.1573 0.3427 0.2500
Ni 0.3427 0.1573 0.7500
Ni 0.6573 0.8427 0.2500
Ni 0.8427 0.6573 0.7500
O 0.0104 0.6433 0.8232
O 0.0172 0.2809 0.9207
O 0.0309 0.2621 0.6631
O 0.0619 0.9381 0.1995
O 0.0964 0.9036 0.5119
O 0.1006 0.2595 0.4114
O 0.1150 0.6671 0.5182
O 0.1387 0.1708 0.1681
O 0.1433 0.5104 0.3232
O 0.1572 0.8428 0.9201
O 0.1671 0.6150 0.0182
O 0.1708 0.1387 0.8319
O 0.2191 0.4828 0.5793
O 0.2379 0.4691 0.8369
O 0.2405 0.3994 0.0886
O 0.2595 0.1006 0.5886
O 0.2621 0.0309 0.3369
O 0.2809 0.0172 0.0793
O 0.3292 0.3613 0.3319
O 0.3329 0.8850 0.5182
O 0.3428 0.6572 0.4201
O 0.3567 0.9896 0.8232
O 0.3613 0.3292 0.6681
O 0.3850 0.8329 0.0182
O 0.3994 0.2405 0.9114
O 0.4036 0.5964 0.0119
O 0.4381 0.5619 0.6995
O 0.4691 0.2379 0.1631
O 0.4828 0.2191 0.4207
O 0.4896 0.8567 0.3232
O 0.5104 0.1433 0.6768
O 0.5172 0.7809 0.5793
O 0.5309 0.7621 0.8369
O 0.5619 0.4381 0.3005
O 0.5964 0.4036 0.9881
O 0.6006 0.7595 0.0886
O 0.6150 0.1671 0.9818
O 0.6387 0.6708 0.3319
O 0.6433 0.0104 0.1768
O 0.6572 0.3428 0.5799
O 0.6671 0.1150 0.4818
O 0.6708 0.6387 0.6681
O 0.7191 0.9828 0.9207
O 0.7379 0.9691 0.6631
O 0.7405 0.8994 0.4114
O 0.7595 0.6006 0.9114
O 0.7621 0.5309 0.1631
O 0.7809 0.5172 0.4207
O 0.8292 0.8613 0.1681
O 0.8329 0.3850 0.9818
O 0.8428 0.1572 0.0799
O 0.8567 0.4896 0.6768
O 0.8613 0.8292 0.8319
O 0.8850 0.3329 0.4818
O 0.8994 0.7405 0.5886
O 0.9036 0.0964 0.4881
O 0.9381 0.0619 0.8005
O 0.9691 0.7379 0.3369
O 0.9828 0.7191 0.0793
O 0.9896 0.3567 0.1768

***

DFT (GGA+U) results for crystalline TiFeO3 at its relaxed geometry.

As for the density: 5.0 g/cm³. The calculation puts the total energy after the MP2020 corrections at -88.48 eV per cell. As for the volume: 10.2 A^3/atom. The total magnetization is 8.00 μB/cell. Its formation energy is -1257 kJ/mol of formula units. The symmetry is Cmcm, No. 63.

Cell lengths 5.0119, 5.0119, 7.2568 Å; angles 90.00, 90.00, 146.12 degrees
Element x y z (fractional)
Ti 0.0000 0.0000 0.0000
Ti 0.0000 0.0000 0.5000
Fe 0.2530 0.7470 0.7500
Fe 0.7470 0.2530 0.2500
O 0.0842 0.9158 0.2500
O 0.3693 0.6307 0.0651
O 0.3693 0.6307 0.4349
O 0.6307 0.3693 0.5651
O 0.6307 0.3693 0.9349
O 0.9158 0.0842 0.7500

***

DFT (GGA+U) results for crystalline SiNi2O4 at its relaxed geometry.

As for the density: 4.8 g/cm³. The calculation puts the total energy after the MP2020 corrections at -206.30 eV per cell. As for the volume: 10.4 A^3/atom. Its formation energy is -1428 kJ/mol of formula units. The symmetry is Pnma, No. 62.

Cell lengths 10.2558, 5.9746, 4.7734 Å; angles 90.00, 90.00, 90.00 degrees
Element x y z (fractional)
Si 0.0940 0.2500 0.0730
Si 0.4060 0.7500 0.5730
Si 0.5940 0.2500 0.4270
Si 0.9060 0.7500 0.9270
Ni 0.0000 0.0000 0.5000
Ni 0.0000 0.5000 0.5000
Ni 0.2264 0.7500 0.0064
Ni 0.2736 0.2500 0.5064
Ni 0.5000 0.0000 0.0000
Ni 0.5000 0.5000 0.0000
Ni 0.7264 0.7500 0.4936
Ni 0.7736 0.2500 0.9936
O 0.0550 0.7500 0.7826
O 0.0937 0.2500 0.7308
O 0.1630 0.0299 0.2254
O 0.1630 0.4701 0.2254
O 0.3370 0.5299 0.7254
O 0.3370 0.9701 0.7254
O 0.4063 0.7500 0.2308
O 0.4450 0.2500 0.2826
O 0.5550 0.7500 0.7174
O 0.5937 0.2500 0.7692
O 0.6630 0.0299 0.2746
O 0.6630 0.4701 0.2746
O 0.8370 0.5299 0.7746
O 0.8370 0.9701 0.7746
O 0.9063 0.7500 0.2692
O 0.9450 0.2500 0.2174

***

DFT (GGA+U) results for crystalline UCrO9 at its relaxed geometry.

As for the density: 3.4 g/cm³. The calculation puts the total energy after the MP2020 corrections at -318.59 eV per cell. As for the volume: 19.2 A^3/atom. The total magnetization is 7.26 μB/cell. Its formation energy is -1367 kJ/mol of formula units. The symmetry is P2_1, No. 4.

Cell lengths 9.6978, 7.3013, 11.9460 Å; angles 90.00, 90.18, 90.00 degrees
Element x y z (fractional)
U 0.0732 0.0000 0.3048
U 0.3423 0.0089 0.8734
U 0.6577 0.5089 0.1266
U 0.9268 0.5000 0.6952
Cr 0.1146 0.5182 0.4140
Cr 0.4451 0.5055 0.8566
Cr 0.5549 0.0055 0.1434
Cr 0.8854 0.0182 0.5860
O 0.0435 0.7096 0.3543
O 0.0513 0.3340 0.3507
O 0.0692 0.5369 0.7940
O 0.0809 0.5202 0.5544
O 0.1294 0.4169 0.1002
O 0.1601 0.0069 0.9008
O 0.1765 0.9107 0.1808
O 0.1893 0.2880 0.1437
O 0.2081 0.0202 0.4114
O 0.2783 0.5272 0.3982
O 0.3155 0.0227 0.6564
O 0.3456 0.3181 0.8809
O 0.3500 0.6991 0.8723
O 0.3618 0.8642 0.6153
O 0.4199 0.0081 0.0532
O 0.4220 0.8698 0.5228
O 0.4812 0.5097 0.1726
O 0.4985 0.9974 0.2686
O 0.5015 0.4974 0.7314
O 0.5188 0.0097 0.8274
O 0.5780 0.3698 0.4772
O 0.5801 0.5081 0.9468
O 0.6382 0.3642 0.3847
O 0.6500 0.1991 0.1277
O 0.6544 0.8181 0.1191
O 0.6845 0.5227 0.3436
O 0.7217 0.0272 0.6018
O 0.7919 0.5202 0.5886
O 0.8107 0.7880 0.8563
O 0.8235 0.4107 0.8192
O 0.8399 0.5069 0.0992
O 0.8706 0.9169 0.8998
O 0.9191 0.0202 0.4456
O 0.9308 0.0369 0.2060
O 0.9487 0.8340 0.6493
O 0.9565 0.2096 0.6457

***

DFT (GGA+U) results for crystalline Li2TiCrP3O12 at its relaxed geometry.

As for the density: 2.9 g/cm³. The calculation puts the total energy after the MP2020 corrections at -603.86 eV per cell. As for the volume: 12.0 A^3/atom. Its formation energy is -5209 kJ/mol of formula units. The symmetry is Pna2_1, No. 33.

Cell lengths 8.7303, 8.6378, 12.1152 Å; angles 90.00, 90.00, 90.00 degrees
Element x y z (fractional)
Li 0.2160 0.0345 0.0000
Li 0.2192 0.5333 0.8624
Li 0.2808 0.0333 0.3624
Li 0.2840 0.5345 0.5000
Li 0.7160 0.4655 0.0000
Li 0.7192 0.9667 0.8624
Li 0.7808 0.4667 0.3624
Li 0.7840 0.9655 0.5000
Ti 0.0355 0.5025 0.0707
Ti 0.4645 0.0025 0.5707
Ti 0.5355 0.9975 0.0707
Ti 0.9645 0.4975 0.5707
Cr 0.0349 0.0012 0.7954
Cr 0.4651 0.5012 0.2954
Cr 0.5349 0.4988 0.7954
Cr 0.9651 0.9988 0.2954
P 0.1076 0.8551 0.5358
P 0.1096 0.3538 0.3293
P 0.2495 0.2869 0.6836
P 0.2505 0.7869 0.1836
P 0.3904 0.8538 0.8293
P 0.3924 0.3551 0.0358
P 0.6076 0.6449 0.5358
P 0.6096 0.1462 0.3293
P 0.7495 0.2131 0.6836
P 0.7505 0.7131 0.1836
P 0.8904 0.6462 0.8293
P 0.8924 0.1449 0.0358
O 0.0088 0.0763 0.9532
O 0.0103 0.5755 0.9099
O 0.0625 0.4096 0.2111
O 0.0622 0.9050 0.6511
O 0.1057 0.6749 0.5266
O 0.1076 0.1762 0.3369
O 0.1412 0.1909 0.7530
O 0.1415 0.6870 0.1113
O 0.1607 0.3942 0.6008
O 0.1637 0.8967 0.2611
O 0.2259 0.4101 0.0061
O 0.2294 0.9111 0.8597
O 0.2706 0.4111 0.3597
O 0.2741 0.9101 0.5061
O 0.3363 0.3967 0.7611
O 0.3393 0.8942 0.1008
O 0.3585 0.1870 0.6113
O 0.3588 0.6909 0.2530
O 0.3924 0.6762 0.8369
O 0.3943 0.1749 0.0266
O 0.4378 0.4050 0.1511
O 0.4375 0.9096 0.7111
O 0.4897 0.0755 0.4099
O 0.4912 0.5763 0.4532
O 0.5088 0.4237 0.9532
O 0.5103 0.9245 0.9099
O 0.5625 0.0904 0.2111
O 0.5622 0.5950 0.6511
O 0.6057 0.8251 0.5266
O 0.6076 0.3238 0.3369
O 0.6412 0.3091 0.7530
O 0.6415 0.8130 0.1113
O 0.6607 0.1058 0.6008
O 0.6637 0.6033 0.2611
O 0.7259 0.0899 0.0061
O 0.7294 0.5889 0.8597
O 0.7706 0.0889 0.3597
O 0.7741 0.5899 0.5061
O 0.8363 0.1033 0.7611
O 0.8393 0.6058 0.1008
O 0.8585 0.3130 0.6113
O 0.8588 0.8091 0.2530
O 0.8924 0.8238 0.8369
O 0.8943 0.3251 0.0266
O 0.9378 0.0950 0.1511
O 0.9375 0.5904 0.7111
O 0.9897 0.4245 0.4099
O 0.9912 0.9237 0.4532

***

DFT (GGA+U) results for crystalline ZnNi9O10 at its relaxed geometry.

As for the density: 6.6 g/cm³. The calculation puts the total energy after the MP2020 corrections at -127.33 eV per cell. As for the volume: 9.5 A^3/atom. The total magnetization is 18.00 μB/cell. Its formation energy is -2370 kJ/mol of formula units. The symmetry is P-1, No. 2.

Cell lengths 5.1935, 5.9948, 6.7138 Å; angles 102.91, 97.48, 106.77 degrees
Element x y z (fractional)
Zn 0.0000 0.0000 0.0000
Ni 0.0000 0.5000 0.0000
Ni 0.2003 0.4007 0.4012
Ni 0.2005 0.8998 0.4003
Ni 0.4002 0.3002 0.7991
Ni 0.4003 0.7995 0.7994
Ni 0.5997 0.2005 0.2006
Ni 0.5998 0.6998 0.2009
Ni 0.7995 0.1002 0.5997
Ni 0.7997 0.5993 0.5988
O 0.0992 0.4503 0.7005
O 0.1006 0.9489 0.6962
O 0.3034 0.3540 0.1015
O 0.3038 0.8485 0.1007
O 0.5001 0.2500 0.4989
O 0.4999 0.7500 0.5011
O 0.6962 0.1515 0.8993
O 0.6966 0.6460 0.8985
O 0.8994 0.0511 0.3038
O 0.9008 0.5497 0.2995

***

DFT (GGA+U) results for crystalline Li3Mn4P6O24 at its relaxed geometry.

As for the density: 3.2 g/cm³. The calculation puts the total energy after the MP2020 corrections at -280.95 eV per cell. As for the volume: 11.5 A^3/atom. The total magnetization is 13.00 μB/cell. Its formation energy is -8428 kJ/mol of formula units. The symmetry is C2, No. 5.

Cell lengths 8.6114, 8.6114, 6.2393 Å; angles 105.02, 105.02, 94.75 degrees
Element x y z (fractional)
Li 0.0000 0.0000 0.0000
Li 0.4935 0.5069 0.2491
Li 0.4931 0.5065 0.7509
Mn 0.0509 0.3845 0.3846
Mn 0.3682 0.0649 0.8826
Mn 0.6155 0.9491 0.6154
Mn 0.9351 0.6318 0.1174
P 0.1447 0.3485 0.8900
P 0.2702 0.7298 0.5000
P 0.3354 0.1597 0.3867
P 0.6515 0.8553 0.1100
P 0.7155 0.2845 0.0000
P 0.8403 0.6646 0.6133
O 0.0217 0.3566 0.6637
O 0.0529 0.4115 0.0794
O 0.1507 0.1742 0.3422
O 0.1534 0.7511 0.2776
O 0.1578 0.1660 0.8698
O 0.2468 0.5529 0.5208
O 0.2489 0.8466 0.7224
O 0.3094 0.4493 0.9514
O 0.3438 0.0318 0.1631
O 0.3929 0.0683 0.5779
O 0.4391 0.3228 0.4533
O 0.4471 0.7532 0.4792
O 0.5389 0.2609 0.0210
O 0.5507 0.6906 0.0486
O 0.5885 0.9471 0.9206
O 0.6434 0.9783 0.3363
O 0.6772 0.5609 0.5467
O 0.7386 0.1652 0.7805
O 0.7391 0.4611 0.9790
O 0.8258 0.8493 0.6578
O 0.8340 0.8422 0.1302
O 0.8348 0.2614 0.2195
O 0.9317 0.6071 0.4221
O 0.9682 0.6562 0.8369